Rb2Re3Se6 | PBE | relaxed

Space group: No. 15
ΔH_f (0 K), eV/atom: -0.922

```
data_Rb2Re3Se6
_chemical_formula_sum 'Rb8 Re12 Se24'
_space_group_name_H-M_alt 'P 1'
_space_group_IT_number 1
_cell_length_a 10.352
_cell_length_b 10.352
_cell_length_c 12.685
_cell_angle_alpha 88.99
_cell_angle_beta 88.99
_cell_angle_gamma 59.76
loop_
_space_group_symop_operation_xyz
'x,y,z'
loop_
_atom_site_label
_atom_site_fract_x
_atom_site_fract_y
_atom_site_fract_z
Se1 0.721 0.457 0.981
Se2 0.732 0.572 0.700
Rb1 0.613 0.387 0.250
Se3 0.572 0.732 0.200
Re1 0.400 0.178 0.418
Rb2 0.360 0.865 0.981
Se4 0.279 0.543 0.019
Re2 0.003 0.319 0.023
Re3 0.178 0.400 0.918
Rb3 0.865 0.360 0.481
Se5 0.004 0.926 0.923
Se6 0.428 0.268 0.800
Re4 0.822 0.600 0.082
Se7 0.800 0.719 0.436
Se8 0.268 0.428 0.300
Se9 0.719 0.800 0.936
Rb4 0.135 0.640 0.519
Rb5 0.640 0.135 0.019
Se10 0.946 0.387 0.216
Se11 0.387 0.946 0.716
Se12 0.613 0.054 0.284
Re5 0.997 0.681 0.977
Re6 0.114 0.465 0.124
Re7 0.535 0.886 0.376
Rb6 0.217 0.783 0.250
Se13 0.932 0.739 0.171
Se14 0.926 0.004 0.423
Re8 0.465 0.114 0.624
Re9 0.681 0.997 0.477
Se15 0.739 0.932 0.671
Se16 0.261 0.068 0.329
Se17 0.281 0.200 0.064
Se18 0.074 0.996 0.577
Se19 0.996 0.074 0.077
Se20 0.200 0.281 0.564
Se21 0.054 0.613 0.784
Re10 0.886 0.535 0.876
Re11 0.600 0.822 0.582
Re12 0.319 0.003 0.523
Rb7 0.387 0.613 0.750
Se22 0.457 0.721 0.481
Rb8 0.783 0.217 0.750
Se23 0.543 0.279 0.519
Se24 0.068 0.261 0.829
```

***

LaGdB12 | PBE | relaxed

Space group: No. 123
ΔH_f (0 K), eV/atom: -0.508

```
data_LaGdB12
_chemical_formula_sum 'La1 Gd1 B12'
_space_group_name_H-M_alt 'P 1'
_space_group_IT_number 1
_cell_length_a 4.138
_cell_length_b 4.138
_cell_length_c 8.277
_cell_angle_alpha 90.00
_cell_angle_beta 90.00
_cell_angle_gamma 90.00
loop_
_space_group_symop_operation_xyz
'x,y,z'
loop_
_atom_site_label
_atom_site_fract_x
_atom_site_fract_y
_atom_site_fract_z
La1 0.000 0.000 0.500
B1 0.500 0.500 0.400
B2 0.500 0.500 0.901
B3 0.199 0.500 0.750
B4 0.500 0.801 0.250
Gd1 0.000 0.000 0.000
B5 0.500 0.801 0.750
B6 0.801 0.500 0.750
B7 0.500 0.199 0.750
B8 0.500 0.500 0.600
B9 0.801 0.500 0.250
B10 0.199 0.500 0.250
B11 0.500 0.199 0.250
B12 0.500 0.500 0.099
```

***

Ta2MoIr | PBE | relaxed

Space group: No. 225
ΔH_f (0 K), eV/atom: -0.390

```
data_Ta2MoIr
_chemical_formula_sum 'Ta2 Mo1 Ir1'
_space_group_name_H-M_alt 'P 1'
_space_group_IT_number 1
_cell_length_a 4.542
_cell_length_b 4.542
_cell_length_c 4.542
_cell_angle_alpha 60.00
_cell_angle_beta 60.00
_cell_angle_gamma 60.00
loop_
_space_group_symop_operation_xyz
'x,y,z'
loop_
_atom_site_label
_atom_site_fract_x
_atom_site_fract_y
_atom_site_fract_z
Ta1 0.250 0.250 0.250
Ta2 0.750 0.750 0.750
Mo1 0.000 0.000 0.000
Ir1 0.500 0.500 0.500
```

***

Mg6TiB | PBE | relaxed

ΔE to the lowest computed polymorph, meV per atom: 52
ΔH_f (0 K), eV/atom: 0.392

```
data_Mg6TiB
_chemical_formula_sum 'Mg12 Ti2 B2'
_space_group_name_H-M_alt 'P 1'
_space_group_IT_number 1
_cell_length_a 4.736
_cell_length_b 5.711
_cell_length_c 11.085
_cell_angle_alpha 90.00
_cell_angle_beta 90.00
_cell_angle_gamma 90.00
loop_
_space_group_symop_operation_xyz
'x,y,z'
loop_
_atom_site_label
_atom_site_fract_x
_atom_site_fract_y
_atom_site_fract_z
Mg1 0.000 0.000 0.810
Mg2 0.000 0.250 0.582
Mg3 0.000 0.750 0.582
B1 0.500 0.500 0.159
Mg4 0.000 0.000 0.330
Mg5 0.000 0.500 0.310
Mg6 0.500 0.749 0.929
Mg7 0.500 0.251 0.929
Mg8 0.000 0.750 0.082
B2 0.500 0.000 0.659
Mg9 0.000 0.250 0.082
Mg10 0.500 0.249 0.429
Ti1 0.500 0.000 0.179
Mg11 0.000 0.500 0.830
Ti2 0.500 0.500 0.679
Mg12 0.500 0.751 0.429
```

***

Q: Number 1 is which compound?
A: Rb2Re3Se6

***

Please write out number 2 again, unchanged.
LaGdB12 | PBE | relaxed

Space group: No. 123
ΔH_f (0 K), eV/atom: -0.508

```
data_LaGdB12
_chemical_formula_sum 'La1 Gd1 B12'
_space_group_name_H-M_alt 'P 1'
_space_group_IT_number 1
_cell_length_a 4.138
_cell_length_b 4.138
_cell_length_c 8.277
_cell_angle_alpha 90.00
_cell_angle_beta 90.00
_cell_angle_gamma 90.00
loop_
_space_group_symop_operation_xyz
'x,y,z'
loop_
_atom_site_label
_atom_site_fract_x
_atom_site_fract_y
_atom_site_fract_z
La1 0.000 0.000 0.500
B1 0.500 0.500 0.400
B2 0.500 0.500 0.901
B3 0.199 0.500 0.750
B4 0.500 0.801 0.250
Gd1 0.000 0.000 0.000
B5 0.500 0.801 0.750
B6 0.801 0.500 0.750
B7 0.500 0.199 0.750
B8 0.500 0.500 0.600
B9 0.801 0.500 0.250
B10 0.199 0.500 0.250
B11 0.500 0.199 0.250
B12 0.500 0.500 0.099
```

***

Q: Among the records above, which one has the highest ΔH_f (0 K)?
A: Mg6TiB

***

What did the third record say?
Ta2MoIr | PBE | relaxed

Space group: No. 225
ΔH_f (0 K), eV/atom: -0.390

```
data_Ta2MoIr
_chemical_formula_sum 'Ta2 Mo1 Ir1'
_space_group_name_H-M_alt 'P 1'
_space_group_IT_number 1
_cell_length_a 4.542
_cell_length_b 4.542
_cell_length_c 4.542
_cell_angle_alpha 60.00
_cell_angle_beta 60.00
_cell_angle_gamma 60.00
loop_
_space_group_symop_operation_xyz
'x,y,z'
loop_
_atom_site_label
_atom_site_fract_x
_atom_site_fract_y
_atom_site_fract_z
Ta1 0.250 0.250 0.250
Ta2 0.750 0.750 0.750
Mo1 0.000 0.000 0.000
Ir1 0.500 0.500 0.500
```